DFT (PBE+U) results for crystalline Li9Mn2Co5O16 at its relaxed geometry.

Unit cell a=11.565 b=5.156 c=5.159 alpha=68.87 beta=90.00 gamma=90.00
Positions (direct):
O  0.001  0.282  0.233
O  0.241  0.267  0.241
O  0.750  0.270  0.218
O  0.877  0.228  0.767
O  0.241  0.733  0.759
O  0.630  0.734  0.215
O  0.126  0.752  0.208
O  0.367  0.752  0.214
O  0.001  0.718  0.767
O  0.508  0.721  0.765
O  0.508  0.279  0.235
O  0.630  0.266  0.785
O  0.126  0.248  0.792
O  0.750  0.730  0.782
O  0.877  0.772  0.233
O  0.367  0.248  0.786
Li  0.994  0.500  0.500
Li  0.749  0.500  0.500
Li  0.378  0.000  0.500
Li  0.130  0.000  0.500
Li  0.255  0.500  0.500
Li  0.618  0.000  0.500
Li  0.504  0.500  0.500
Li  0.499  0.000  0.000
Li  0.872  0.000  0.500
Co  0.254  0.000  0.000
Co  0.625  0.500  0.000
Co  0.875  0.500  0.000
Co  0.743  0.000  0.000
Co  0.380  0.500  0.000
Mn  0.997  0.000  0.000
Mn  0.127  0.500  0.000

Results
energy: -185.84 eV/cell
energy of formation from the pure elements: -1.817 eV per atom

***

DFT (PBE+U) results for crystalline BaFeCoPbO5 at its relaxed geometry.

Unit cell a=4.031 b=5.797 c=21.285 alpha=90.00 beta=90.00 gamma=90.00
Positions (direct):
O  0.750  0.769  0.253
O  0.750  0.269  0.247
O  0.250  0.734  0.893
O  0.750  0.743  0.113
O  0.750  0.489  0.822
O  0.750  0.022  0.960
O  0.250  0.511  0.178
O  0.250  0.011  0.322
O  0.750  0.522  0.540
O  0.750  0.243  0.387
O  0.750  0.766  0.393
O  0.250  0.731  0.753
O  0.750  0.989  0.678
O  0.250  0.478  0.460
O  0.250  0.231  0.747
O  0.250  0.257  0.887
O  0.250  0.234  0.607
O  0.250  0.757  0.613
O  0.250  0.978  0.040
O  0.750  0.266  0.107
Co  0.750  0.010  0.314
Co  0.750  0.510  0.186
Co  0.250  0.990  0.686
Co  0.250  0.490  0.814
Fe  0.250  0.499  0.555
Fe  0.750  0.001  0.055
Fe  0.250  0.999  0.945
Fe  0.750  0.501  0.445
Ba  0.250  0.510  0.312
Ba  0.250  0.010  0.188
Ba  0.750  0.490  0.688
Ba  0.750  0.990  0.812
Pb  0.250  0.511  0.072
Pb  0.250  0.011  0.428
Pb  0.750  0.489  0.928
Pb  0.750  0.989  0.572

Results
energy: -219.72 eV/cell
energy of formation from the pure elements: -1.812 eV per atom